# Na2Ti2Si2O11 (PBE, optimized geometry)
# total moment: 0.12 μB/atom
# DFT formation energy: -2499 meV/atom
data_Na2Ti2Si2O11
_cell_length_a 5.4050
_cell_length_b 7.0944
_cell_length_c 12.3532
_cell_angle_alpha 93.54
_cell_angle_beta 97.41
_cell_angle_gamma 90.27
_symmetry_space_group_name_H-M 'P 1'
_symmetry_Int_Tables_number 1
_symmetry_space_group_name_Hall 'P 1'
loop_
_atom_site_label
_atom_site_fract_x
_atom_site_fract_y
_atom_site_fract_z
Na1 0.0000 0.0000 0.0000
Na2 0.0708 0.2189 0.7171
Na3 0.5637 0.4462 0.6924
Na4 0.6354 0.6627 0.4086
Ti1 0.0396 0.7187 0.7005
Ti2 0.5972 0.9445 0.7084
Ti3 0.6503 0.1566 0.4659
Ti4 0.9908 0.5070 0.9436
Si1 0.1409 0.4547 0.4821
Si2 0.1646 0.8850 0.4709
Si3 0.4753 0.7781 0.9382
Si4 0.4958 0.2082 0.9260
O1 0.1416 0.6600 0.4250
O2 0.1601 0.4991 0.6162
O3 0.2059 0.1378 0.2019
O4 0.2239 0.8949 0.6084
O5 0.2401 0.6980 0.9923
O6 0.2485 0.3159 0.9563
O7 0.3895 0.3456 0.4546
O8 0.4046 0.9627 0.4194
O9 0.4117 0.7676 0.8008
O10 0.4315 0.1704 0.2217
O11 0.4726 0.1640 0.7919
O12 0.4990 0.0032 0.9836
O13 0.6855 0.1369 0.6115
O14 0.6966 0.5331 0.2035
O15 0.7310 0.7311 0.6213
O16 0.7440 0.6892 0.9779
O17 0.7652 0.3062 0.9692
O18 0.8718 0.3579 0.4366
O19 0.8989 0.9770 0.4295
O20 0.9043 0.9321 0.7881
O21 0.9105 0.4934 0.1871
O22 0.9561 0.5266 0.7980